[1]
Here is Ba2LaSbO6 after structural relaxation from the Materials Project database. Energies are from PBE-GGA.

Cell lengths 8.7340, 8.7340, 8.7340 Å; angles 90.00, 90.00, 90.00 degrees
Fractional positions:
Ba: 0.2500 0.2500 0.2500
Ba: 0.2500 0.2500 0.7500
Ba: 0.2500 0.7500 0.2500
Ba: 0.2500 0.7500 0.7500
Ba: 0.7500 0.2500 0.2500
Ba: 0.7500 0.2500 0.7500
Ba: 0.7500 0.7500 0.2500
Ba: 0.7500 0.7500 0.7500
La: 0.0000 0.0000 0.0000
La: 0.0000 0.5000 0.5000
La: 0.5000 0.0000 0.5000
La: 0.5000 0.5000 0.0000
Sb: 0.0000 0.0000 0.5000
Sb: 0.0000 0.5000 0.0000
Sb: 0.5000 0.0000 0.0000
Sb: 0.5000 0.5000 0.5000
O: 0.0096 0.5109 0.7696
O: 0.0096 0.9891 0.7304
O: 0.0109 0.2304 0.5096
O: 0.0109 0.2696 0.9904
O: 0.2304 0.5096 0.0109
O: 0.2304 0.9904 0.4891
O: 0.2696 0.5096 0.4891
O: 0.2696 0.9904 0.0109
O: 0.4891 0.2304 0.9904
O: 0.4891 0.2696 0.5096
O: 0.4904 0.5109 0.7304
O: 0.4904 0.9891 0.7696
O: 0.5096 0.0109 0.2304
O: 0.5096 0.4891 0.2696
O: 0.5109 0.7304 0.4904
O: 0.5109 0.7696 0.0096
O: 0.7304 0.0096 0.9891
O: 0.7304 0.4904 0.5109
O: 0.7696 0.0096 0.5109
O: 0.7696 0.4904 0.9891
O: 0.9891 0.7304 0.0096
O: 0.9891 0.7696 0.4904
O: 0.9904 0.0109 0.2696
O: 0.9904 0.4891 0.2304

Summary:
SG   Pn-3, No. 201
Energy of formation from the pure elements   -30.2 eV per formula unit
Density   6.29 g/cm3

***

[2]
Here is BaSrLa4O8 after structural relaxation from the Materials Project database. Energies are from PBE-GGA.

Cell lengths 3.6777, 12.6089, 10.6199 Å; angles 90.00, 90.00, 90.00 degrees
Fractional positions:
Ba: 0.0000 0.1042 0.0000
Ba: 0.0000 0.8958 0.5000
Sr: 0.5000 0.3974 0.4965
Sr: 0.5000 0.6026 0.9965
La: 0.0000 0.1409 0.3348
La: 0.0000 0.3678 0.8201
La: 0.0000 0.6322 0.3201
La: 0.0000 0.8591 0.8348
La: 0.5000 0.1373 0.6737
La: 0.5000 0.3641 0.1645
La: 0.5000 0.6359 0.6645
La: 0.5000 0.8627 0.1737
O: 0.0000 0.0329 0.7352
O: 0.0000 0.2707 0.6140
O: 0.0000 0.3310 0.3214
O: 0.0000 0.4397 0.0323
O: 0.0000 0.5603 0.5323
O: 0.0000 0.6690 0.8214
O: 0.0000 0.7293 0.1140
O: 0.0000 0.9671 0.2352
O: 0.5000 0.0690 0.4636
O: 0.5000 0.1754 0.1825
O: 0.5000 0.2361 0.8757
O: 0.5000 0.4686 0.7598
O: 0.5000 0.5314 0.2598
O: 0.5000 0.7639 0.3757
O: 0.5000 0.8246 0.6825
O: 0.5000 0.9310 0.9636

Summary:
SG   Pmc2_1, No. 26
Energy of formation from the pure elements   -50.1 eV per formula unit
Density   6.13 g/cm3

***

[3]
Here is Ba2LaTaO6 after structural relaxation from the Materials Project database. Energies are from PBE-GGA.

Cell lengths 6.2064, 6.1493, 10.6329 Å; angles 90.00, 125.19, 90.00 degrees
Fractional positions:
Ba: 0.2420 0.0094 0.2480
Ba: 0.2420 0.4906 0.7480
Ba: 0.7580 0.5094 0.2520
Ba: 0.7580 0.9906 0.7520
La: 0.5000 0.0000 0.0000
La: 0.5000 0.5000 0.5000
Ta: 0.0000 0.0000 0.5000
Ta: 0.0000 0.5000 0.0000
O: 0.1754 0.2439 0.4623
O: 0.1754 0.2561 0.9623
O: 0.2017 0.7183 0.9632
O: 0.2017 0.7817 0.4632
O: 0.2961 0.0056 0.7271
O: 0.2961 0.4944 0.2271
O: 0.7039 0.5056 0.7729
O: 0.7039 0.9944 0.2729
O: 0.7983 0.2183 0.5368
O: 0.7983 0.2817 0.0368
O: 0.8246 0.7439 0.0377
O: 0.8246 0.7561 0.5377

Summary:
SG   P2_1/c, No. 14
Energy of formation from the pure elements   -35.1 eV per formula unit
Density   6.91 g/cm3

***

[4]
Here is Ba2LaTaO6 after structural relaxation from the Materials Project database. Energies are from PBE-GGA.

Cell lengths 6.1359, 6.1359, 6.1359 Å; angles 60.70, 60.70, 60.70 degrees
Fractional positions:
Ba: 0.2477 0.2477 0.2477
Ba: 0.7523 0.7523 0.7523
La: 0.5000 0.5000 0.5000
Ta: 0.0000 0.0000 0.0000
O: 0.1709 0.7768 0.2856
O: 0.2232 0.7144 0.8291
O: 0.2856 0.1709 0.7768
O: 0.7144 0.8291 0.2232
O: 0.7768 0.2856 0.1709
O: 0.8291 0.2232 0.7144

Summary:
SG   R-3, No. 148
Energy of formation from the pure elements   -35.1 eV per formula unit
Density   6.91 g/cm3